This record from the Materials Project describes a geometry-optimized Rb2CrCl4 structure. The functional is GGA-PBE. Values from VASP.

Properties
Its space group is I4/mmm. As for the energy relative to the elements: -10.1 eV/f.u. The crystal system is tetragonal. The calculation puts the energy relative to the lowest polymorph listed for this composition at 469.7 meV/atom.

The structure in Quantum ESPRESSO input format:
```
&SYSTEM
  ibrav = 0, nat = 7, ntyp = 3
/
ATOMIC_SPECIES
Cr 52.00 Cr.upf
Cl 35.45 Cl.upf
Rb 85.47 Rb.upf
CELL_PARAMETERS angstrom
-2.508 2.508 7.459
2.508 -2.508 7.459
2.508 2.508 -7.459
ATOMIC_POSITIONS crystal
Cr 0.000 0.000 0.000
Cl 0.605 0.105 0.500
Cl 0.395 0.895 0.500
Cl 0.105 0.605 0.500
Cl 0.895 0.395 0.500
Rb 0.732 0.732 0.000
Rb 0.268 0.268 0.000
```

This record from the Materials Project describes a geometry-optimized GdTl3 structure. The functional is GGA-PBE. Values from VASP.

Properties
Its space group is Pm-3m. As for the energy relative to the elements: -1.0 eV/f.u. The crystal system is cubic.

The structure in Quantum ESPRESSO input format:
```
&SYSTEM
  ibrav = 0, nat = 4, ntyp = 2
/
ATOMIC_SPECIES
Tl 204.38 Tl.upf
Gd 157.25 Gd.upf
CELL_PARAMETERS angstrom
4.807 0.000 0.000
0.000 4.807 0.000
0.000 0.000 4.807
ATOMIC_POSITIONS crystal
Tl 0.000 0.500 0.500
Tl 0.500 0.000 0.500
Tl 0.500 0.500 0.000
Gd 0.000 0.000 0.000
```

This record from the Materials Project describes a geometry-optimized Er2Te5O13 structure. The functional is GGA-PBE. Values from VASP.

Properties
Its space group is P-1. As for the energy relative to the elements: -44.0 eV/f.u. The crystal system is triclinic.

The structure in Quantum ESPRESSO input format:
```
&SYSTEM
  ibrav = 0, nat = 40, ntyp = 3
/
ATOMIC_SPECIES
O 16.00 O.upf
Er 167.26 Er.upf
Te 127.60 Te.upf
CELL_PARAMETERS angstrom
6.983 0.000 0.000
2.294 8.434 0.000
0.528 0.009 10.698
ATOMIC_POSITIONS crystal
O 0.466 0.670 0.000
O 0.313 0.735 0.286
O 0.057 0.819 0.040
O 0.464 0.193 0.518
O 0.067 0.265 0.278
O 0.536 0.807 0.482
O 0.943 0.181 0.960
O 0.653 0.016 0.875
O 0.331 0.740 0.773
O 0.339 0.513 0.619
O 0.687 0.265 0.714
O 0.935 0.982 0.311
O 0.534 0.330 0.000
O 0.235 0.497 0.188
O 0.661 0.487 0.381
O 0.669 0.260 0.227
O 0.126 0.490 0.893
O 0.765 0.503 0.812
O 0.044 0.349 0.566
O 0.874 0.510 0.107
O 0.672 0.774 0.223
O 0.328 0.226 0.777
O 0.347 0.984 0.125
O 0.933 0.735 0.722
O 0.956 0.651 0.434
O 0.065 0.018 0.689
Er 0.002 0.261 0.760
Er 0.998 0.739 0.240
Er 0.552 0.528 0.179
Er 0.448 0.472 0.821
Te 0.727 0.606 0.513
Te 0.563 0.098 0.698
Te 0.710 0.124 0.024
Te 0.877 0.650 0.891
Te 0.123 0.350 0.109
Te 0.290 0.876 0.976
Te 0.843 0.197 0.360
Te 0.273 0.394 0.487
Te 0.157 0.803 0.640
Te 0.437 0.902 0.302
```

This record from the Materials Project describes a geometry-optimized Zn8Cu5 structure. The functional is GGA-PBE. Values from VASP.

Properties
Its space group is I-43m. As for the energy relative to the elements: -1.4 eV/f.u. The crystal system is cubic.

The structure in Quantum ESPRESSO input format:
```
&SYSTEM
  ibrav = 0, nat = 26, ntyp = 2
/
ATOMIC_SPECIES
Cu 63.55 Cu.upf
Zn 65.41 Zn.upf
CELL_PARAMETERS angstrom
-4.427 4.427 4.427
4.427 -4.427 4.427
4.427 4.427 -4.427
ATOMIC_POSITIONS crystal
Cu 0.644 0.000 0.644
Cu 0.000 0.656 0.000
Cu 0.000 0.000 0.656
Cu 0.656 0.000 0.000
Cu 0.000 0.356 0.356
Cu 0.356 0.356 0.000
Cu 0.644 0.644 0.000
Cu 0.356 0.000 0.356
Cu 0.000 0.644 0.644
Cu 0.344 0.344 0.344
Zn 0.276 0.276 0.626
Zn 0.000 0.724 0.350
Zn 0.650 0.374 0.650
Zn 0.724 0.350 0.000
Zn 0.350 0.000 0.724
Zn 0.650 0.650 0.374
Zn 0.218 0.000 0.000
Zn 0.000 0.350 0.724
Zn 0.724 0.000 0.350
Zn 0.000 0.000 0.218
Zn 0.276 0.626 0.276
Zn 0.374 0.650 0.650
Zn 0.782 0.782 0.782
Zn 0.000 0.218 0.000
Zn 0.626 0.276 0.276
Zn 0.350 0.724 0.000
```

This record from the Materials Project describes a geometry-optimized ZnSeO5 structure. The functional is GGA-PBE. Values from VASP.

Properties
Its space group is C2/c. As for the energy relative to the elements: -6.2 eV/f.u. The crystal system is monoclinic. The calculation puts the energy relative to the lowest polymorph listed for this composition at 0.0 meV/atom.

The structure in Quantum ESPRESSO input format:
```
&SYSTEM
  ibrav = 0, nat = 14, ntyp = 3
/
ATOMIC_SPECIES
O 16.00 O.upf
Se 78.96 Se.upf
Zn 65.41 Zn.upf
CELL_PARAMETERS angstrom
4.178 3.418 0.000
-4.178 3.418 0.000
0.000 3.326 6.776
ATOMIC_POSITIONS crystal
O 0.732 0.632 0.071
O 0.354 0.910 0.848
O 0.268 0.368 0.929
O 0.368 0.268 0.429
O 0.090 0.646 0.652
O 0.096 0.904 0.250
O 0.904 0.096 0.750
O 0.632 0.732 0.571
O 0.646 0.090 0.152
O 0.910 0.354 0.348
Se 0.665 0.335 0.250
Se 0.335 0.665 0.750
Zn 0.000 0.000 0.000
Zn 0.000 0.000 0.500
```